## P
MoP5O15: relaxed, PBE+U.

Calculated volume = 1313.68 Å³/cell

POSCAR file:
```
MoP5O15
1.0
9.400 0.000 0.000
0.000 14.026 0.000
-3.768 0.000 9.963
Mo P O
4 20 60
Direct
0.001 0.000 0.251
0.001 0.500 0.751
0.999 0.000 0.749
0.999 0.500 0.249
0.023 0.142 0.009
0.023 0.358 0.509
0.026 0.144 0.508
0.026 0.356 0.008
0.317 0.077 0.991
0.317 0.423 0.491
0.321 0.083 0.485
0.321 0.417 0.985
0.495 0.748 0.519
0.495 0.752 0.019
0.505 0.248 0.981
0.505 0.252 0.481
0.679 0.583 0.015
0.679 0.917 0.515
0.683 0.577 0.509
0.683 0.923 0.009
0.974 0.644 0.992
0.974 0.856 0.492
0.977 0.642 0.491
0.977 0.858 0.991
0.001 0.621 0.862
0.001 0.879 0.362
0.006 0.621 0.362
0.006 0.879 0.862
0.028 0.749 0.534
0.028 0.751 0.034
0.059 0.581 0.110
0.059 0.919 0.610
0.061 0.580 0.610
0.061 0.920 0.110
0.201 0.143 0.040
0.201 0.357 0.540
0.202 0.147 0.537
0.202 0.353 0.037
0.215 0.026 0.862
0.215 0.474 0.362
0.217 0.028 0.361
0.217 0.472 0.861
0.374 0.745 0.581
0.374 0.755 0.081
0.386 0.167 0.417
0.386 0.333 0.917
0.392 0.159 0.930
0.392 0.341 0.430
0.419 0.021 0.103
0.419 0.479 0.603
0.422 0.746 0.868
0.422 0.754 0.368
0.430 0.033 0.599
0.430 0.467 0.099
0.570 0.533 0.901
0.570 0.967 0.401
0.578 0.246 0.632
0.578 0.254 0.132
0.581 0.521 0.397
0.581 0.979 0.897
0.608 0.659 0.570
0.608 0.841 0.070
0.614 0.667 0.083
0.614 0.833 0.583
0.626 0.245 0.919
0.626 0.255 0.419
0.783 0.528 0.139
0.783 0.972 0.639
0.785 0.526 0.638
0.785 0.974 0.138
0.798 0.647 0.963
0.798 0.853 0.463
0.799 0.643 0.460
0.799 0.857 0.960
0.939 0.080 0.890
0.939 0.420 0.390
0.941 0.081 0.390
0.941 0.419 0.890
0.972 0.249 0.966
0.972 0.251 0.466
0.994 0.121 0.138
0.994 0.379 0.638
0.999 0.121 0.638
0.999 0.379 0.138
```


## Q
MoP5O15: relaxed, PBE+U.

Calculated volume = 655.35 Å³/cell

POSCAR file:
```
MoP5O15
1.0
5.335 0.000 0.000
0.000 14.018 0.000
-2.144 0.000 8.764
Mo P O
2 10 30
Direct
0.000 0.000 0.000
0.000 0.500 0.000
0.015 0.250 0.508
0.150 0.578 0.680
0.150 0.922 0.680
0.493 0.643 0.976
0.493 0.857 0.976
0.507 0.143 0.024
0.507 0.357 0.024
0.850 0.078 0.320
0.850 0.422 0.320
0.985 0.750 0.492
0.007 0.029 0.218
0.007 0.471 0.218
0.040 0.163 0.397
0.040 0.337 0.397
0.220 0.121 0.994
0.220 0.379 0.994
0.233 0.750 0.439
0.234 0.250 0.650
0.270 0.522 0.579
0.270 0.978 0.579
0.341 0.581 0.061
0.341 0.919 0.061
0.373 0.643 0.798
0.373 0.857 0.798
0.465 0.750 0.026
0.535 0.250 0.974
0.627 0.143 0.202
0.627 0.357 0.202
0.659 0.081 0.939
0.659 0.419 0.939
0.730 0.022 0.421
0.730 0.478 0.421
0.766 0.750 0.350
0.767 0.250 0.561
0.780 0.621 0.006
0.780 0.879 0.006
0.960 0.663 0.603
0.960 0.837 0.603
0.993 0.529 0.782
0.993 0.971 0.782
```


It is Q that is the most stable of them.


## P
MoP2O7: relaxed, PBE+U.

Calculated volume = 584.12 Å³/cell

POSCAR file:
```
MoP2O7
1.0
9.034 0.000 0.000
0.000 5.336 0.000
-6.166 0.000 12.116
Mo P O
4 8 28
Direct
0.230 0.248 0.469
0.230 0.252 0.969
0.770 0.748 0.031
0.770 0.752 0.531
0.185 0.738 0.618
0.185 0.762 0.118
0.337 0.741 0.863
0.337 0.759 0.363
0.663 0.241 0.637
0.663 0.259 0.137
0.815 0.238 0.882
0.815 0.262 0.382
0.019 0.738 0.121
0.019 0.762 0.621
0.210 0.022 0.082
0.210 0.478 0.582
0.218 0.555 0.054
0.218 0.945 0.554
0.239 0.545 0.380
0.239 0.955 0.880
0.259 0.015 0.361
0.259 0.485 0.861
0.327 0.724 0.242
0.327 0.776 0.742
0.480 0.244 0.058
0.480 0.256 0.558
0.520 0.744 0.442
0.520 0.756 0.942
0.673 0.224 0.258
0.673 0.276 0.758
0.741 0.515 0.139
0.741 0.985 0.639
0.761 0.045 0.120
0.761 0.455 0.620
0.782 0.055 0.446
0.782 0.445 0.946
0.790 0.522 0.418
0.790 0.978 0.918
0.981 0.238 0.379
0.981 0.262 0.879
```


## Q
MoP2O7: relaxed, PBE+U.

Calculated volume = 577.51 Å³/cell

POSCAR file:
```
MoP2O7
1.0
7.035 0.000 0.000
0.000 8.937 0.000
-3.185 0.000 9.185
Mo P O
4 8 28
Direct
0.201 0.077 0.303
0.201 0.423 0.803
0.799 0.577 0.197
0.799 0.923 0.697
0.026 0.713 0.968
0.026 0.787 0.468
0.404 0.746 0.248
0.404 0.754 0.748
0.596 0.246 0.252
0.596 0.254 0.752
0.974 0.213 0.532
0.974 0.287 0.032
0.018 0.131 0.109
0.018 0.369 0.609
0.023 0.590 0.860
0.023 0.910 0.360
0.135 0.192 0.456
0.135 0.308 0.956
0.239 0.724 0.084
0.239 0.776 0.584
0.366 0.640 0.353
0.366 0.860 0.853
0.380 0.582 0.782
0.380 0.918 0.282
0.396 0.239 0.284
0.396 0.261 0.784
0.604 0.739 0.216
0.604 0.761 0.716
0.620 0.082 0.718
0.620 0.418 0.218
0.634 0.140 0.147
0.634 0.360 0.647
0.761 0.224 0.416
0.761 0.276 0.916
0.865 0.692 0.044
0.865 0.808 0.544
0.977 0.090 0.640
0.977 0.410 0.140
0.982 0.631 0.391
0.982 0.869 0.891
```


## R
MoP2O7: relaxed, PBE+U.

Calculated volume = 500.93 Å³/cell

POSCAR file:
```
MoP2O7
1.0
7.220 0.000 0.000
0.000 8.322 0.000
-3.853 0.000 8.337
Mo P O
4 8 28
Direct
0.234 0.089 0.112
0.234 0.411 0.612
0.766 0.589 0.388
0.766 0.911 0.888
0.072 0.731 0.748
0.072 0.769 0.248
0.451 0.737 0.034
0.451 0.763 0.534
0.549 0.237 0.466
0.549 0.263 0.966
0.928 0.231 0.752
0.928 0.269 0.252
0.012 0.581 0.624
0.012 0.919 0.124
0.094 0.247 0.687
0.094 0.253 0.187
0.126 0.623 0.184
0.126 0.877 0.684
0.262 0.649 0.896
0.262 0.851 0.396
0.376 0.606 0.577
0.376 0.894 0.077
0.389 0.231 0.032
0.389 0.269 0.532
0.467 0.111 0.334
0.467 0.389 0.834
0.533 0.611 0.166
0.533 0.889 0.666
0.611 0.731 0.468
0.611 0.769 0.968
0.624 0.106 0.923
0.624 0.394 0.423
0.738 0.149 0.604
0.738 0.351 0.104
0.874 0.123 0.316
0.874 0.377 0.816
0.906 0.747 0.813
0.906 0.753 0.313
0.988 0.081 0.876
0.988 0.419 0.376
```


It is P that is the most stable of them.


## P
MoP2O7: relaxed, PBE+U.

Calculated volume = 564.45 Å³/cell

POSCAR file:
```
MoP2O7
1.0
7.456 0.000 0.000
0.000 8.299 0.000
-3.563 0.000 9.122
Mo P O
4 8 28
Direct
0.232 0.006 0.248
0.232 0.494 0.748
0.768 0.506 0.252
0.768 0.994 0.752
0.177 0.710 0.453
0.177 0.790 0.953
0.430 0.241 0.548
0.430 0.259 0.048
0.570 0.741 0.952
0.570 0.759 0.452
0.823 0.210 0.047
0.823 0.290 0.547
0.038 0.587 0.351
0.038 0.913 0.851
0.136 0.618 0.896
0.136 0.882 0.396
0.186 0.692 0.611
0.186 0.808 0.111
0.315 0.142 0.100
0.315 0.358 0.600
0.316 0.193 0.388
0.316 0.307 0.888
0.385 0.659 0.451
0.385 0.841 0.951
0.499 0.592 0.854
0.499 0.908 0.354
0.501 0.092 0.646
0.501 0.408 0.146
0.615 0.159 0.049
0.615 0.341 0.549
0.684 0.693 0.112
0.684 0.807 0.612
0.685 0.642 0.400
0.685 0.858 0.900
0.814 0.192 0.889
0.814 0.308 0.389
0.864 0.118 0.604
0.864 0.382 0.104
0.962 0.087 0.149
0.962 0.413 0.649
```


## Q
MoP2O7: relaxed, PBE+U.

Calculated volume = 527.40 Å³/cell

POSCAR file:
```
MoP2O7
1.0
5.001 -4.179 0.000
5.001 4.179 0.000
-4.910 0.000 12.619
Mo P O
4 8 28
Direct
0.093 0.621 0.856
0.379 0.907 0.644
0.621 0.093 0.356
0.907 0.379 0.144
0.090 0.165 0.930
0.165 0.090 0.430
0.253 0.412 0.634
0.412 0.253 0.134
0.588 0.747 0.866
0.747 0.588 0.366
0.835 0.910 0.570
0.910 0.835 0.070
0.037 0.946 0.858
0.054 0.963 0.642
0.085 0.517 0.699
0.089 0.721 0.013
0.110 0.301 0.519
0.146 0.310 0.872
0.233 0.406 0.176
0.279 0.911 0.487
0.301 0.110 0.019
0.310 0.146 0.372
0.370 0.577 0.617
0.406 0.233 0.676
0.423 0.630 0.883
0.483 0.915 0.801
0.517 0.085 0.199
0.577 0.370 0.117
0.594 0.767 0.324
0.630 0.423 0.383
0.690 0.854 0.628
0.699 0.890 0.981
0.721 0.089 0.513
0.767 0.594 0.824
0.854 0.690 0.128
0.890 0.699 0.481
0.911 0.279 0.987
0.915 0.483 0.301
0.946 0.037 0.358
0.963 0.054 0.142
```


It is P that is the most stable of them.


## P
MoP2O7: relaxed, PBE+U.

Calculated volume = 284.50 Å³/cell

POSCAR file:
```
MoP2O7
1.0
4.988 0.000 0.000
0.000 8.403 0.000
-1.965 0.000 6.788
Mo P O
2 4 14
Direct
0.212 0.000 0.226
0.788 0.500 0.774
0.246 0.733 0.606
0.386 0.315 0.010
0.614 0.815 0.990
0.754 0.233 0.394
0.003 0.672 0.679
0.144 0.832 0.422
0.149 0.436 0.970
0.284 0.144 0.010
0.425 0.855 0.770
0.430 0.832 0.131
0.440 0.594 0.587
0.560 0.094 0.413
0.570 0.332 0.869
0.575 0.355 0.230
0.716 0.644 0.990
0.851 0.936 0.030
0.856 0.332 0.578
0.997 0.172 0.321
```


## Q
MoP2O7: relaxed, PBE+U.

Calculated volume = 123.59 Å³/cell

POSCAR file:
```
MoP2O7
1.0
3.348 -4.043 0.000
3.348 4.043 0.000
-0.968 0.000 4.565
Mo P O
1 2 7
Direct
0.000 0.000 0.000
0.453 0.149 0.585
0.851 0.547 0.415
0.028 0.688 0.702
0.265 0.211 0.800
0.312 0.972 0.298
0.570 0.430 0.500
0.678 0.039 0.725
0.789 0.735 0.200
0.961 0.322 0.275
```


It is P that is the most stable of them.